(1)
# Li2V3O6 (GGA+U, relaxed)
data_Li2V3O6
_cell_length_a 5.100
_cell_length_b 5.216
_cell_length_c 10.039
_cell_angle_alpha 80.09
_cell_angle_beta 86.44
_cell_angle_gamma 61.10
_space_group_name_H-M_alt 'P -1'
_space_group_IT_number 2
_space_group_name_Hall '-P 1'
loop_
_atom_site_label
_atom_site_fract_x
_atom_site_fract_y
_atom_site_fract_z
Li1 0.146 0.175 0.499
Li2 0.160 0.674 0.001
V1 0.160 0.915 0.251
V2 0.175 0.415 0.751
V3 0.495 0.254 0.251
O1 0.144 0.298 0.143
O2 0.146 0.042 0.860
O3 0.150 0.809 0.640
O4 0.151 0.559 0.360
O5 0.484 0.615 0.143
O6 0.486 0.890 0.353
# - Relative energy among the computed polymorphs: 10 meV/atom
# - ΔE_f: -2461 meV per atom
# - Size of the total moment: 5.00 μB per formula unit
# - ρ: 3.8 g cm⁻³

***

(2)
# LiCr2P3O12 (GGA+U, relaxed)
data_LiCr2P3O12
_cell_length_a 14.740
_cell_length_b 8.507
_cell_length_c 8.610
_cell_angle_alpha 90.00
_cell_angle_beta 124.05
_cell_angle_gamma 90.00
_space_group_name_H-M_alt 'C 1 c 1'
_space_group_IT_number 9
_space_group_name_Hall 'C -2yc'
loop_
_atom_site_label
_atom_site_fract_x
_atom_site_fract_y
_atom_site_fract_z
Li1 0.000 0.162 0.000
Cr1 0.207 0.249 0.376
Cr2 0.412 0.244 0.020
P1 0.169 0.112 0.704
P2 0.307 0.462 0.197
P3 0.447 0.111 0.687
O1 0.050 0.304 0.224
O2 0.065 0.196 0.657
O3 0.148 0.066 0.203
O4 0.189 0.140 0.549
O5 0.220 0.356 0.194
O6 0.247 0.440 0.521
O7 0.263 0.173 0.896
O8 0.356 0.178 0.495
O9 0.374 0.445 0.885
O10 0.397 0.355 0.210
O11 0.426 0.139 0.838
O12 0.462 0.068 0.182
# - Relative energy among the computed polymorphs: 15 meV/atom
# - ΔE_f: -2452 meV per atom
# - Size of the total moment: 4.00 μB per formula unit
# - ρ: 2.9 g cm⁻³

***

(3)
# Ba8Fe8O21 (GGA+U, relaxed)
data_Ba8Fe8O21
_cell_length_a 5.744
_cell_length_b 5.783
_cell_length_c 19.040
_cell_angle_alpha 97.62
_cell_angle_beta 90.67
_cell_angle_gamma 119.40
_space_group_name_H-M_alt 'P -1'
_space_group_IT_number 2
_space_group_name_Hall '-P 1'
loop_
_atom_site_label
_atom_site_fract_x
_atom_site_fract_y
_atom_site_fract_z
Ba1 0.000 0.000 0.000
Ba2 0.000 0.500 0.500
Ba3 0.247 0.124 0.627
Ba4 0.252 0.632 0.128
Ba5 0.500 0.252 0.254
Fe1 0.102 0.012 0.804
Fe2 0.142 0.578 0.314
Fe3 0.386 0.715 0.944
Fe4 0.427 0.215 0.431
O1 0.000 0.500 0.000
O2 0.007 0.247 0.759
O3 0.017 0.274 0.253
O4 0.225 0.606 0.627
O5 0.242 0.358 0.383
O6 0.244 0.870 0.874
O7 0.254 0.883 0.377
O8 0.263 0.145 0.124
O9 0.490 0.244 0.751
O10 0.500 0.000 0.000
O11 0.500 0.000 0.500
O12 0.500 0.500 0.000
O13 0.500 0.500 0.500
# - Relative energy among the computed polymorphs: 314 meV/atom
# - ΔE_f: -1907 meV per atom
# - Size of the total moment: 38.00 μB per formula unit
# - ρ: 5.7 g cm⁻³

***

(4)
# BaVZnF7 (GGA+U, relaxed)
data_BaVZnF7
_cell_length_a 5.671
_cell_length_b 10.106
_cell_length_c 9.700
_cell_angle_alpha 90.00
_cell_angle_beta 92.83
_cell_angle_gamma 90.00
_space_group_name_H-M_alt 'P 1 21/c 1'
_space_group_IT_number 14
_space_group_name_Hall '-P 2ybc'
loop_
_atom_site_label
_atom_site_fract_x
_atom_site_fract_y
_atom_site_fract_z
Ba1 0.238 0.182 0.001
V1 0.305 0.612 0.189
Zn1 0.196 0.601 0.811
F1 0.021 0.708 0.246
F2 0.111 0.542 0.624
F3 0.136 0.054 0.628
F4 0.241 0.692 0.002
F5 0.388 0.058 0.379
F6 0.390 0.541 0.368
F7 0.479 0.721 0.749
# - ΔE_f: -3337 meV per atom
# - Size of the total moment: 2.00 μB per formula unit
# - ρ: 4.6 g cm⁻³

***

(5)
# Li2NiP4O12 (GGA+U, relaxed)
data_Li2NiP4O12
_cell_length_a 4.633
_cell_length_b 9.306
_cell_length_c 9.321
_cell_angle_alpha 90.01
_cell_angle_beta 90.86
_cell_angle_gamma 90.69
_space_group_name_H-M_alt 'P 1'
_space_group_IT_number 1
_space_group_name_Hall 'P 1'
loop_
_atom_site_label
_atom_site_fract_x
_atom_site_fract_y
_atom_site_fract_z
Li1 0.000 0.000 0.000
Li2 0.000 0.006 0.504
Li3 0.000 0.501 0.499
Li4 0.001 0.507 0.004
Ni1 0.001 0.725 0.750
Ni2 0.002 0.260 0.224
P1 0.497 0.253 0.528
P2 0.497 0.756 0.029
P3 0.498 0.029 0.752
P4 0.498 0.530 0.255
P5 0.502 0.253 0.976
P6 0.502 0.478 0.752
P7 0.503 0.979 0.255
P8 0.504 0.756 0.478
O1 0.250 0.452 0.182
O2 0.250 0.683 0.950
O3 0.254 0.554 0.682
O4 0.255 0.183 0.053
O5 0.255 0.327 0.453
O6 0.255 0.955 0.826
O7 0.259 0.052 0.326
O8 0.259 0.826 0.551
O9 0.346 0.141 0.640
O10 0.351 0.869 0.139
O11 0.353 0.639 0.368
O12 0.356 0.371 0.870
O13 0.640 0.638 0.138
O14 0.648 0.371 0.640
O15 0.649 0.142 0.870
O16 0.657 0.868 0.367
O17 0.743 0.182 0.457
O18 0.743 0.957 0.682
O19 0.744 0.455 0.325
O20 0.744 0.827 0.955
O21 0.747 0.057 0.182
O22 0.747 0.328 0.055
O23 0.747 0.557 0.826
O24 0.748 0.683 0.556
# - Relative energy among the computed polymorphs: 72 meV/atom
# - ΔE_f: -2468 meV per atom
# - Size of the total moment: 2.00 μB per formula unit
# - ρ: 3.2 g cm⁻³

***

(6)
# LiFeF4 (GGA+U, relaxed)
data_LiFeF4
_cell_length_a 4.644
_cell_length_b 12.011
_cell_length_c 5.024
_cell_angle_alpha 90.00
_cell_angle_beta 90.00
_cell_angle_gamma 90.00
_space_group_name_H-M_alt 'P b c n'
_space_group_IT_number 60
_space_group_name_Hall '-P 2n 2ab'
loop_
_atom_site_label
_atom_site_fract_x
_atom_site_fract_y
_atom_site_fract_z
Li1 0.000 0.178 0.250
Fe1 0.000 0.424 0.250
F1 0.228 0.448 0.579
F2 0.234 0.315 0.090
# - Relative energy among the computed polymorphs: 28 meV/atom
# - ΔE_f: -2796 meV per atom
# - Size of the total moment: 5.00 μB per formula unit
# - ρ: 3.3 g cm⁻³

***

(7)
# KHoCoSi2O7 (GGA+U, relaxed)
data_KHoCoSi2O7
_cell_length_a 8.296
_cell_length_b 10.023
_cell_length_c 8.415
_cell_angle_alpha 90.00
_cell_angle_beta 113.43
_cell_angle_gamma 90.00
_space_group_name_H-M_alt 'C 1 2 1'
_space_group_IT_number 5
_space_group_name_Hall 'C 2y'
loop_
_atom_site_label
_atom_site_fract_x
_atom_site_fract_y
_atom_site_fract_z
K1 0.214 0.000 0.217
Ho1 0.222 0.070 0.720
Co1 0.000 0.297 0.000
Co2 0.000 0.775 0.500
Si1 0.109 0.337 0.390
Si2 0.114 0.762 0.883
O1 0.000 0.403 0.500
O2 0.000 0.732 0.000
O3 0.006 0.682 0.296
O4 0.040 0.413 0.201
O5 0.094 0.176 0.398
O6 0.130 0.920 0.851
O7 0.191 0.904 0.525
O8 0.199 0.193 0.991
# - Relative energy among the computed polymorphs: 25 meV/atom
# - ΔE_f: -2909 meV per atom
# - Size of the total moment: 3.00 μB per formula unit
# - ρ: 4.5 g cm⁻³

***

(8)
# Tb2AlFeO6 (GGA+U, relaxed)
data_Tb2AlFeO6
_cell_length_a 5.260
_cell_length_b 5.451
_cell_length_c 9.139
_cell_angle_alpha 90.00
_cell_angle_beta 125.03
_cell_angle_gamma 90.00
_space_group_name_H-M_alt 'P 1 21/c 1'
_space_group_IT_number 14
_space_group_name_Hall '-P 2ybc'
loop_
_atom_site_label
_atom_site_fract_x
_atom_site_fract_y
_atom_site_fract_z
Tb1 0.235 0.061 0.250
Al1 0.500 0.000 0.000
Fe1 0.000 0.000 0.500
O1 0.159 0.199 0.954
O2 0.255 0.706 0.952
O3 0.345 0.024 0.754
# - ΔE_f: -3279 meV per atom
# - Size of the total moment: 5.00 μB per formula unit
# - ρ: 7.7 g cm⁻³